[1]
## Ca5Mg (meta-GGA r2SCAN)

Data for a relaxed Ca5Mg crystal.

Polymorph energy (0 for the lowest one) = 0.042 eV/atom
Energy of formation = 0.0407 eV/atom

POSCAR file:
```
Ca5Mg
1.0
3.8846 0.0000 0.0000
-1.9423 3.3642 0.0000
0.0000 0.0000 18.4254
Ca Mg
5 1
Cartesian
0.0000 0.0000 0.0000 Ca
0.0000 0.0000 6.5110 Ca
0.0000 0.0000 11.9144 Ca
0.0000 2.2428 3.2439 Ca
0.0000 2.2428 15.1815 Ca
0.0000 2.2428 9.2127 Mg
```



[2]
## Ca2MgMoO6 (meta-GGA r2SCAN)

Data for a relaxed Ca2MgMoO6 crystal.

Energy of formation = -2.8199 eV/atom

POSCAR file:
```
Ca2MgMoO6
1.0
0.0000 3.8860 3.8860
3.8860 0.0000 3.8860
3.8860 3.8860 0.0000
Ca Mg Mo O
2 1 1 6
Cartesian
1.9430 1.9430 1.9430 Ca
5.8290 5.8290 5.8290 Ca
0.0000 0.0000 0.0000 Mg
3.8860 3.8860 3.8860 Mo
3.8860 3.8860 1.9900 O
3.8860 1.9900 3.8860 O
5.7819 3.8860 3.8860 O
1.9900 3.8860 3.8860 O
3.8860 5.7819 3.8860 O
3.8860 3.8860 5.7819 O
```



[3]
## Ca19Mg2P14O56 (meta-GGA r2SCAN)

Data for a relaxed Ca19Mg2P14O56 crystal.

Energy of formation = -3.1509 eV/atom

POSCAR file:
```
Ca19Mg2P14O56
1.0
5.1675 2.9834 12.3334
-5.1675 2.9834 12.3334
0.0000 -5.9669 12.3334
Ca Mg P O
19 2 14 56
Cartesian
-2.0940 -1.2707 10.1959 Ca
0.0000 0.0000 1.2230 Ca
-2.8720 -1.8358 21.2126 Ca
-2.2550 1.0870 15.1227 Ca
0.1861 -2.4964 15.1227 Ca
-0.1469 -3.4316 18.6327 Ca
-2.8984 1.8431 18.6327 Ca
-2.0712 -1.0822 24.6667 Ca
-0.0534 2.4488 10.1959 Ca
2.1474 -1.1781 10.1959 Ca
-2.1347 -1.1598 28.7002 Ca
2.0689 1.4094 15.1228 Ca
-0.1538 3.4051 21.2126 Ca
3.0258 -1.5693 21.2126 Ca
1.9728 -1.2526 24.6668 Ca
0.0983 2.3348 24.6668 Ca
3.0453 1.5886 18.6327 Ca
2.0718 -1.2688 28.7002 Ca
0.0629 2.4286 28.7002 Ca
0.0000 0.0000 12.7440 Mg
0.0000 0.0000 31.2036 Mg
-2.6077 1.2600 7.6792 P
-2.5419 -1.7432 13.8405 P
0.2126 -2.8884 7.6792 P
0.0000 0.0000 4.0212 P
-2.8666 1.4309 11.5296 P
0.1942 -3.1980 11.5296 P
-2.3631 -1.5713 17.6803 P
-0.2387 3.0730 13.8404 P
2.3951 1.6283 7.6792 P
2.7806 -1.3297 13.8404 P
0.0000 0.0000 22.5785 P
-0.1792 2.8322 17.6803 P
2.5424 -1.2609 17.6803 P
2.6725 1.7672 11.5296 P
-0.9359 -2.2077 8.4344 O
-2.2531 1.2077 6.1932 O
0.0807 -2.5550 6.1932 O
-3.5027 1.4282 12.9502 O
-4.4619 1.7415 15.7456 O
0.0000 0.0000 5.5239 O
-1.4303 -2.4623 16.8189 O
-2.7836 -3.1022 23.3498 O
0.5145 -3.7475 12.9502 O
-1.4440 1.9143 8.4344 O
-1.2887 -0.8796 14.1075 O
-1.4442 0.8054 11.5028 O
-2.4841 -0.1341 17.1607 O
0.0246 -1.6534 11.5028 O
0.7228 -4.7349 15.7456 O
-3.7244 -0.5017 23.0121 O
-3.5726 0.5650 20.4952 O
-1.8466 -1.6569 19.1088 O
-1.6423 -2.4320 26.6011 O
-0.7948 -1.2395 22.1391 O
2.1724 1.3474 6.1932 O
-1.4173 2.4698 16.8189 O
-0.1174 1.5558 14.1075 O
2.3798 0.2934 8.4344 O
1.3582 -2.0842 17.1607 O
1.4061 -0.6763 14.1075 O
1.2970 -3.3765 20.4952 O
1.4196 0.8480 11.5028 O
-0.0867 -2.5995 24.6794 O
-2.3470 0.3150 26.9086 O
-2.2078 1.3749 24.6794 O
-0.5116 2.4277 19.1087 O
-0.6761 1.3081 22.1392 O
0.0000 0.0000 24.1288 O
2.2967 -2.9746 23.0121 O
0.9007 -2.1901 26.9086 O
1.1259 2.2184 17.1607 O
2.3583 -0.7708 19.1087 O
-1.4031 -0.6856 32.5796 O
-0.0350 -1.5880 29.8782 O
-1.3578 0.8243 29.8782 O
-1.2948 3.9617 23.3498 O
2.8476 -0.0075 16.8189 O
1.4709 -0.0686 22.1392 O
-1.2850 2.6382 26.6011 O
2.9882 2.3193 12.9502 O
2.2756 2.8115 20.4952 O
1.4277 3.4763 23.0121 O
3.7391 2.9934 15.7456 O
2.2946 1.2246 24.6794 O
1.2953 -0.8724 32.5796 O
1.4463 1.8751 26.9086 O
4.0784 -0.8596 23.3498 O
0.1079 1.5579 32.5796 O
1.3928 0.7637 29.8782 O
2.9273 -0.2062 26.6011 O
```



[4]
## CaMg2S3O12 (meta-GGA r2SCAN)

Data for a relaxed CaMg2S3O12 crystal.

Polymorph energy (0 for the lowest one) = 0.000 eV/atom
Energy of formation = -2.2323 eV/atom

POSCAR file:
```
CaMg2S3O12
1.0
16.4952 0.0000 0.0000
0.0000 7.3466 0.0000
-8.2459 0.0000 14.3252
Ca Mg S O
8 16 24 96
Cartesian
-3.8259 0.0000 6.9510 Ca
0.2941 3.6942 0.1479 Ca
-0.3646 0.0164 14.1775 Ca
4.0338 3.6729 6.8013 Ca
4.2155 7.3462 7.5239 Ca
8.6139 3.6897 0.1477 Ca
7.9552 0.0209 14.1773 Ca
12.0752 3.6733 7.3742 Ca
-4.2388 3.3602 11.8847 Mg
-0.1424 0.3624 4.8107 Mg
0.1206 3.3237 4.7638 Mg
-3.9867 0.4108 11.9836 Mg
4.0117 4.0344 2.4958 Mg
-0.0080 6.9591 9.5548 Mg
0.0222 4.0094 9.5412 Mg
4.2166 6.9943 2.2873 Mg
4.0327 3.3210 12.0379 Mg
8.2271 0.3362 4.7840 Mg
8.2573 3.2858 4.7703 Mg
4.2376 0.3611 11.8294 Mg
12.2360 4.0841 2.3416 Mg
8.1288 6.9970 9.5614 Mg
8.3917 4.0357 9.5145 Mg
12.4881 7.0335 2.4405 Mg
-1.2234 5.4847 2.5939 S
-5.3152 5.5898 9.7428 S
-1.2958 5.4833 6.9332 S
-5.4048 5.5855 14.0932 S
1.6113 1.8081 2.3331 S
-2.4848 1.8153 9.5172 S
-1.6231 5.5012 11.9859 S
2.4867 5.5855 4.8423 S
1.2762 1.7940 7.3937 S
5.4103 1.9218 0.2655 S
1.2291 1.7825 11.7265 S
5.3372 1.8038 4.5949 S
7.0202 5.4558 2.5987 S
2.9122 5.4771 9.7303 S
2.8390 5.5951 14.0597 S
6.9731 5.4673 6.9314 S
9.8724 1.8279 2.3393 S
5.7627 1.9122 9.4829 S
10.7341 5.4886 4.8080 S
6.6381 5.4813 11.9921 S
13.6541 1.9122 0.2320 S
9.5451 1.8100 7.3920 S
13.5645 1.9165 4.5824 S
9.4728 1.8114 11.7313 S
-3.1169 2.1302 6.0257 O
-7.2165 1.8171 13.1910 O
-1.4725 1.9121 4.3005 O
-4.7749 4.2514 10.0772 O
-5.5607 1.7752 11.4642 O
-0.6838 6.7110 3.1679 O
-0.5563 4.2932 3.1207 O
0.4412 1.6477 1.4587 O
-3.6540 1.7885 8.6242 O
-4.6339 6.6271 10.4876 O
-2.6379 5.2606 7.4823 O
1.4914 5.7778 0.3217 O
-5.4142 4.3338 13.3093 O
-1.3294 6.8108 6.2675 O
-0.9356 4.4471 5.9902 O
-5.0410 6.7302 13.2867 O
1.1504 1.7896 3.7436 O
-2.9729 1.8834 10.9207 O
2.1927 3.1410 2.0392 O
-1.7415 0.5739 9.3045 O
-1.6738 2.9905 9.2319 O
2.5740 0.7548 2.0826 O
0.3119 1.8275 6.2612 O
-3.7887 1.9295 13.4532 O
3.7909 5.4631 0.9045 O
-0.3288 5.5063 8.0543 O
-2.6687 4.5150 12.1666 O
1.4737 6.5967 5.0559 O
1.9582 4.2351 5.1637 O
2.9546 5.5811 3.4333 O
-1.1338 5.4825 10.5881 O
-2.1315 6.8575 12.3183 O
5.0295 2.8971 1.2643 O
1.0692 0.5942 8.1972 O
1.1322 3.0133 8.1825 O
5.4458 0.5612 0.8575 O
2.6359 1.7326 6.8333 O
-1.4931 2.2072 14.0682 O
-0.4894 5.2491 12.8801 O
3.6433 5.8253 5.7156 O
4.7528 0.7010 3.8649 O
0.6338 2.9821 11.1503 O
0.6331 0.5632 11.1883 O
4.6926 3.0916 4.2352 O
5.5553 5.4676 2.8541 O
1.4572 5.5292 10.0082 O
3.0966 5.3083 8.2833 O
7.2334 5.4495 1.1421 O
1.0160 1.7762 13.1831 O
5.1527 1.6350 6.0419 O
6.7921 1.8559 4.3170 O
2.6940 1.7943 11.4711 O
3.5568 6.7649 10.0899 O
7.6163 4.2365 3.1369 O
7.6155 6.6553 3.1748 O
3.4965 4.3743 10.4603 O
8.7388 1.5758 1.4451 O
4.6060 2.1520 8.6096 O
9.7425 5.8805 0.2570 O
5.6134 5.4059 7.4919 O
2.8036 4.2345 13.4677 O
7.1171 6.6866 6.1427 O
7.1801 4.2675 6.1279 O
3.2198 6.5704 13.0609 O
9.3832 1.8092 3.7371 O
10.3809 3.1842 2.0068 O
6.2911 0.5618 9.1615 O
5.2947 1.9079 10.8919 O
6.7757 2.9235 9.2693 O
10.9180 0.8417 2.1586 O
4.4585 1.7898 13.4206 O
8.5782 1.8330 6.2709 O
12.0380 5.6028 0.8720 O
7.9375 5.5008 8.0640 O
5.6753 4.4281 12.2426 O
9.9231 6.6638 5.0933 O
9.9908 4.2472 5.0207 O
6.0566 6.8143 12.2860 O
11.2223 5.5567 3.4045 O
7.0989 5.4629 10.5816 O
13.2904 3.0569 1.0385 O
9.1849 0.7738 8.3350 O
9.5787 3.1375 8.0577 O
13.6636 0.6605 1.0159 O
6.7579 2.1045 14.0035 O
10.8872 1.5873 6.8429 O
12.8833 2.9538 3.8376 O
11.9033 5.4618 5.7010 O
7.8081 5.3210 12.8665 O
8.8056 0.6199 11.2045 O
8.9332 3.0377 11.1573 O
13.8100 5.4485 2.8610 O
13.0243 0.5781 4.2480 O
9.7218 5.5854 10.0247 O
15.4658 5.4904 1.1342 O
11.3662 5.8035 8.2995 O
```



[5]
## CaMg2S3O12 (meta-GGA r2SCAN)

Data for a relaxed CaMg2S3O12 crystal.

Polymorph energy (0 for the lowest one) = 0.003 eV/atom
Energy of formation = -2.2290 eV/atom

POSCAR file:
```
CaMg2S3O12
1.0
8.2875 0.0000 0.0000
-4.1438 7.1772 0.0000
0.0000 0.0000 7.3789
Ca Mg S O
2 4 6 24
Cartesian
0.0000 0.0000 0.0000 Ca
0.0000 0.0000 3.6895 Ca
0.0000 4.7848 0.3523 Mg
0.0000 4.7848 3.3371 Mg
4.1438 2.3924 4.0418 Mg
4.1438 2.3924 7.0266 Mg
-2.5090 4.8123 5.5342 S
1.2307 2.5982 5.5342 S
2.8655 0.2333 1.8447 S
1.2783 6.9439 5.5342 S
2.9131 4.5790 1.8447 S
6.6527 2.3649 1.8447 S
-0.4613 1.4703 1.8447 O
-1.1413 3.7639 1.8447 O
-1.7312 5.0700 4.3243 O
-1.7312 5.0700 6.7441 O
-2.6398 6.8416 1.8447 O
1.0426 1.1347 5.5342 O
0.6186 3.1430 4.3243 O
0.6186 3.1430 6.7441 O
-0.3134 6.2837 1.8447 O
3.0312 1.0358 0.6348 O
3.0312 1.0358 3.0546 O
1.4548 4.3068 1.8447 O
2.6890 2.8704 5.5342 O
1.1125 6.1415 4.3243 O
1.1125 6.1415 6.7441 O
4.4572 0.8935 5.5342 O
3.5251 4.0342 0.6348 O
3.5251 4.0342 3.0546 O
3.1012 6.0426 1.8447 O
6.7836 0.3356 5.5342 O
5.8749 2.1073 0.6348 O
5.8749 2.1073 3.0546 O
5.2851 3.4133 5.5342 O
4.6051 5.7070 5.5342 O
```



[6]
## CaPmMg2 (meta-GGA r2SCAN)

Data for a relaxed CaPmMg2 crystal.

Energy of formation = -0.0933 eV/atom

POSCAR file:
```
CaPmMg2
1.0
7.8358 0.0000 0.0000
0.0000 7.8358 0.0000
0.0000 0.0000 7.8358
Ca Pm Mg
4 4 8
Cartesian
0.0000 0.0000 0.0000 Ca
0.0000 3.9179 3.9179 Ca
3.9179 0.0000 3.9179 Ca
3.9179 3.9179 0.0000 Ca
0.0000 0.0000 3.9179 Pm
0.0000 3.9179 0.0000 Pm
3.9179 0.0000 0.0000 Pm
3.9179 3.9179 3.9179 Pm
1.9589 1.9589 1.9589 Mg
1.9589 1.9589 5.8768 Mg
1.9589 5.8768 1.9589 Mg
1.9589 5.8768 5.8768 Mg
5.8768 1.9589 1.9589 Mg
5.8768 1.9589 5.8768 Mg
5.8768 5.8768 1.9589 Mg
5.8768 5.8768 5.8768 Mg
```



[7]
## Ca2MgPt2 (meta-GGA r2SCAN)

Data for a relaxed Ca2MgPt2 crystal.

Energy of formation = -0.9389 eV/atom

POSCAR file:
```
Ca2MgPt2
1.0
4.2925 0.0000 0.0000
0.0000 5.8437 0.0000
0.0000 0.0000 8.7774
Ca Mg Pt
4 2 4
Cartesian
0.0000 0.0000 1.7557 Ca
0.0000 0.0000 7.0217 Ca
2.1462 2.9219 2.6330 Ca
2.1462 2.9219 6.1444 Ca
0.0000 2.9219 0.0000 Mg
2.1462 0.0000 4.3887 Mg
0.0000 1.5653 4.3887 Pt
0.0000 4.2784 4.3887 Pt
2.1462 1.3565 0.0000 Pt
2.1462 4.4872 0.0000 Pt
```



[8]
## CaMgSi (meta-GGA r2SCAN)

Data for a relaxed CaMgSi crystal.

Energy of formation = -0.4916 eV/atom

POSCAR file:
```
CaMgSi
1.0
7.4800 0.0000 0.0000
0.0000 4.4302 0.0000
0.0000 0.0000 8.2427
Ca Mg Si
4 4 4
Cartesian
0.1331 1.1076 1.5058 Ca
3.6069 3.3227 5.6272 Ca
3.8730 1.1076 2.6155 Ca
7.3469 3.3227 6.7368 Ca
1.0924 1.1076 4.6567 Mg
2.6476 3.3227 0.5354 Mg
4.8324 1.1076 7.7073 Mg
6.3876 3.3227 3.5860 Mg
1.7101 3.3227 3.1921 Si
2.0299 1.1076 7.3134 Si
5.4501 3.3227 0.9292 Si
5.7699 1.1076 5.0506 Si
```



[9]
## CaSmMg2 (meta-GGA r2SCAN)

Data for a relaxed CaSmMg2 crystal.

Energy of formation = -0.0875 eV/atom

POSCAR file:
```
CaSmMg2
1.0
7.8183 0.0000 0.0000
0.0000 7.8183 0.0000
0.0000 0.0000 7.8183
Ca Sm Mg
4 4 8
Cartesian
0.0000 0.0000 0.0000 Ca
0.0000 3.9092 3.9092 Ca
3.9092 0.0000 3.9092 Ca
3.9092 3.9092 0.0000 Ca
0.0000 0.0000 3.9092 Sm
0.0000 3.9092 0.0000 Sm
3.9092 0.0000 0.0000 Sm
3.9092 3.9092 3.9092 Sm
1.9546 1.9546 1.9546 Mg
1.9546 1.9546 5.8637 Mg
1.9546 5.8637 1.9546 Mg
1.9546 5.8637 5.8637 Mg
5.8637 1.9546 1.9546 Mg
5.8637 1.9546 5.8637 Mg
5.8637 5.8637 1.9546 Mg
5.8637 5.8637 5.8637 Mg
```



[10]
## CaMgSn (meta-GGA r2SCAN)

Data for a relaxed CaMgSn crystal.

Energy of formation = -0.6443 eV/atom

POSCAR file:
```
CaMgSn
1.0
7.8735 0.0000 0.0000
0.0000 4.6968 0.0000
0.0000 0.0000 8.7413
Ca Mg Sn
4 4 4
Cartesian
0.1508 1.1742 1.6098 Ca
3.7859 3.5226 5.9804 Ca
4.0875 1.1742 2.7608 Ca
7.7227 3.5226 7.1315 Ca
1.1438 1.1742 4.9181 Mg
2.7929 3.5226 0.5475 Mg
5.0806 1.1742 8.1937 Mg
6.7297 3.5226 3.8231 Mg
1.8393 3.5226 3.3633 Sn
2.0975 1.1742 7.7339 Sn
5.7760 3.5226 1.0074 Sn
6.0342 1.1742 5.3780 Sn
```



[11]
## Ca2MnO4 (meta-GGA r2SCAN)

Data for a relaxed Ca2MnO4 crystal.

Energy of formation = -2.8401 eV/atom

POSCAR file:
```
Ca2MnO4
1.0
-2.5827 2.5827 12.0985
2.5827 -2.5827 12.0985
2.5827 2.5827 -12.0985
Ca Mn O
8 4 16
Cartesian
2.5827 1.2913 -4.8204 Ca
2.5827 1.2913 -1.2288 Ca
0.0000 1.2913 1.2288 Ca
0.0000 1.2913 4.8204 Ca
2.5827 1.2913 7.2780 Ca
2.5827 1.2913 10.8697 Ca
0.0000 1.2913 13.3273 Ca
0.0000 1.2913 16.9189 Ca
2.5827 -1.2913 9.0739 Mn
2.5827 1.2913 3.0246 Mn
0.0000 1.2913 9.0739 Mn
0.0000 3.8740 3.0246 Mn
2.5827 -1.2913 7.1295 O
3.6531 -0.2209 3.0246 O
1.0704 0.2209 3.0246 O
2.5827 -1.2913 11.0182 O
2.5827 1.2913 1.0803 O
1.0704 -0.2209 9.0739 O
1.0704 2.8036 -3.0246 O
2.5827 1.2913 4.9690 O
0.0000 1.2913 7.1295 O
1.5123 -0.2209 15.1231 O
1.5123 2.8036 3.0246 O
0.0000 1.2913 11.0182 O
0.0000 3.8740 1.0803 O
1.5123 2.3617 9.0739 O
-1.0704 2.8036 9.0739 O
0.0000 3.8740 4.9690 O
```